(1)
{"formula": "Ti2ReIr", "functional": "meta-GGA r2SCAN", "state": "optimized geometry", "lattice": [[6.1954, 0.0000, 0.0000], [0.0000, 6.1954, 0.0000], [0.0000, 0.0000, 6.1954]], "species": ["Ti", "Ti", "Ti", "Ti", "Ti", "Ti", "Ti", "Ti", "Re", "Re", "Re", "Re", "Ir", "Ir", "Ir", "Ir"], "fractional_positions": [[0.2500, 0.2500, 0.2500], [0.2500, 0.2500, 0.7500], [0.2500, 0.7500, 0.2500], [0.2500, 0.7500, 0.7500], [0.7500, 0.2500, 0.2500], [0.7500, 0.2500, 0.7500], [0.7500, 0.7500, 0.2500], [0.7500, 0.7500, 0.7500], [0.0000, 0.0000, 0.0000], [0.0000, 0.5000, 0.5000], [0.5000, 0.0000, 0.5000], [0.5000, 0.5000, 0.0000], [0.0000, 0.0000, 0.5000], [0.0000, 0.5000, 0.0000], [0.5000, 0.0000, 0.0000], [0.5000, 0.5000, 0.5000]], "formation_enthalpy_0k_ev_per_fu": -3.43}

***

(2)
{"formula": "NaAc2Sn", "functional": "meta-GGA r2SCAN", "state": "optimized geometry", "lattice": [[8.2398, 0.0000, 0.0000], [0.0000, 8.2398, 0.0000], [0.0000, 0.0000, 8.2398]], "species": ["Na", "Na", "Na", "Na", "Ac", "Ac", "Ac", "Ac", "Ac", "Ac", "Ac", "Ac", "Sn", "Sn", "Sn", "Sn"], "fractional_positions": [[0.0000, 0.0000, 0.0000], [0.0000, 0.5000, 0.5000], [0.5000, 0.0000, 0.5000], [0.5000, 0.5000, 0.0000], [0.2500, 0.2500, 0.2500], [0.2500, 0.2500, 0.7500], [0.2500, 0.7500, 0.2500], [0.2500, 0.7500, 0.7500], [0.7500, 0.2500, 0.2500], [0.7500, 0.2500, 0.7500], [0.7500, 0.7500, 0.2500], [0.7500, 0.7500, 0.7500], [0.0000, 0.0000, 0.5000], [0.0000, 0.5000, 0.0000], [0.5000, 0.0000, 0.0000], [0.5000, 0.5000, 0.5000]], "formation_enthalpy_0k_ev_per_fu": -1.37}

***

(3)
{"formula": "SmB2C2", "functional": "meta-GGA r2SCAN", "state": "optimized geometry", "lattice": [[5.3621, 0.0000, 0.0000], [0.0000, 5.3621, 0.0000], [0.0000, 0.0000, 3.7355]], "species": ["Sm", "Sm", "B", "B", "B", "B", "C", "C", "C", "C"], "fractional_positions": [[0.0000, 0.0000, 0.0000], [0.5000, 0.5000, 0.0000], [0.1372, 0.3628, 0.5000], [0.3628, 0.8628, 0.5000], [0.6372, 0.1372, 0.5000], [0.8628, 0.6372, 0.5000], [0.1615, 0.6615, 0.5000], [0.3385, 0.1615, 0.5000], [0.6615, 0.8385, 0.5000], [0.8385, 0.3385, 0.5000]], "formation_enthalpy_0k_ev_per_fu": -2.64}

***

(4)
{"formula": "ZnMoPb2O6", "functional": "meta-GGA r2SCAN", "state": "optimized geometry", "lattice": [[0.0000, 3.9895, 3.9895], [3.9895, 0.0000, 3.9895], [3.9895, 3.9895, 0.0000]], "species": ["Zn", "Mo", "Pb", "Pb", "O", "O", "O", "O", "O", "O"], "fractional_positions": [[0.0000, 0.0000, 0.0000], [0.5000, 0.5000, 0.5000], [0.2500, 0.2500, 0.2500], [0.7500, 0.7500, 0.7500], [0.2600, 0.2600, 0.7400], [0.2600, 0.7400, 0.2600], [0.2600, 0.7400, 0.7400], [0.7400, 0.2600, 0.2600], [0.7400, 0.2600, 0.7400], [0.7400, 0.7400, 0.2600]], "formation_enthalpy_0k_ev_per_fu": -16.78}

***

(5)
{"formula": "Sr5In2Sb6", "functional": "meta-GGA r2SCAN", "state": "optimized geometry", "lattice": [[12.8087, 0.0000, 0.0000], [0.0000, 14.8901, 0.0000], [0.0000, 0.0000, 4.7111]], "species": ["Sr", "Sr", "Sr", "Sr", "Sr", "Sr", "Sr", "Sr", "Sr", "Sr", "In", "In", "In", "In", "Sb", "Sb", "Sb", "Sb", "Sb", "Sb", "Sb", "Sb", "Sb", "Sb", "Sb", "Sb"], "fractional_positions": [[0.0000, 0.0000, 0.0000], [0.0882, 0.2501, 0.0000], [0.1736, 0.5171, 0.0000], [0.3264, 0.0171, 0.0000], [0.4118, 0.7501, 0.0000], [0.5000, 0.5000, 0.0000], [0.5882, 0.2499, 0.0000], [0.6736, 0.9829, 0.0000], [0.8264, 0.4829, 0.0000], [0.9118, 0.7499, 0.0000], [0.1701, 0.7134, 0.5000], [0.3299, 0.2134, 0.5000], [0.6701, 0.7866, 0.5000], [0.8299, 0.2866, 0.5000], [0.0235, 0.4054, 0.5000], [0.1543, 0.0953, 0.5000], [0.1631, 0.8237, 0.0000], [0.3369, 0.3237, 0.0000], [0.3457, 0.5953, 0.5000], [0.4765, 0.9054, 0.5000], [0.5235, 0.0946, 0.5000], [0.6543, 0.4047, 0.5000], [0.6631, 0.6763, 0.0000], [0.8369, 0.1763, 0.0000], [0.8457, 0.9047, 0.5000], [0.9765, 0.5946, 0.5000]], "formation_enthalpy_0k_ev_per_fu": -12.77}

***

(6)
{"formula": "TbGaNi", "functional": "meta-GGA r2SCAN", "state": "optimized geometry", "lattice": [[6.8827, 0.0000, 0.0000], [0.0000, 4.3166, 0.0000], [0.0000, 0.0000, 7.1797]], "species": ["Tb", "Tb", "Tb", "Tb", "Ga", "Ga", "Ga", "Ga", "Ni", "Ni", "Ni", "Ni"], "fractional_positions": [[0.0215, 0.2500, 0.1967], [0.4785, 0.7500, 0.6967], [0.5215, 0.2500, 0.3033], [0.9785, 0.7500, 0.8033], [0.1785, 0.2500, 0.5820], [0.3215, 0.7500, 0.0820], [0.6785, 0.2500, 0.9180], [0.8215, 0.7500, 0.4180], [0.2034, 0.7500, 0.4099], [0.2966, 0.2500, 0.9099], [0.7034, 0.7500, 0.0901], [0.7966, 0.2500, 0.5901]], "formation_enthalpy_0k_ev_per_fu": -2.01}

***

Number 1: M_tot 0.000 Bohr magnetons per cell, total energy -33.52 eV per atom. Number 2: M_tot 0.030 Bohr magnetons per cell, total energy -41.74 eV per atom. Number 3: M_tot 0.000 Bohr magnetons per cell, total energy -13.39 eV per atom. Number 4: M_tot 0.000 Bohr magnetons per cell, total energy -20.02 eV per atom. Number 5: M_tot 0.000 Bohr magnetons per cell, total energy -22.15 eV per atom. Number 6: M_tot 0.000 Bohr magnetons per cell, total energy -18.89 eV per atom.